--- A ---
A plane-wave DFT calculation with PBE-GGA was carried out for TaCr3Cu2S8 after structural relaxation.

abc: 5.706 7.048 12.017
angles: 90.00 90.62 90.00
Space group P2_1/m (No. 11)
Symmetry-distinct sites (fractional):
Ta1 0.021 0.250 0.249
Cr1 0.000 0.000 0.500
Cr2 0.481 0.250 0.744
Cr3 0.500 0.000 0.000
Cu1 0.090 0.250 0.907
Cu2 0.392 0.250 0.407
S1 0.217 0.750 0.582
S2 0.236 0.250 0.582
S3 0.239 0.512 0.331
S4 0.258 0.250 0.083
S5 0.265 0.507 0.831
S6 0.299 0.750 0.087

Summary:
Crystal system ... monoclinic
V ... 483 Å³/cell

--- B ---
A plane-wave DFT calculation with PBE-GGA was carried out for TaCr3Cu2S8 after structural relaxation.

abc: 5.793 6.921 5.968
angles: 90.00 91.76 90.00
Space group P2/m (No. 10)
Symmetry-distinct sites (fractional):
Ta1 0.000 0.000 0.000
Cr1 0.000 0.248 0.500
Cr2 0.000 0.500 0.000
Cu1 0.500 0.258 0.500
S1 0.232 0.500 0.673
S2 0.240 0.255 0.176
S3 0.250 0.000 0.672

Summary:
Crystal system ... monoclinic
V ... 239 Å³/cell

Relative energy table, unit meV/atom: A 0; B 10

--- A ---
A plane-wave DFT calculation with PBE-GGA was carried out for TaCr3Cu2S8 after structural relaxation.

abc: 6.384 7.255 12.255
angles: 97.26 94.58 90.70
Space group P-1 (No. 2)
Symmetry-distinct sites (fractional):
Ta1 0.143 0.203 0.301
Cr1 0.244 0.381 0.000
Cr2 0.366 0.061 0.713
Cr3 0.367 0.545 0.708
Cu1 0.119 0.697 0.286
Cu2 0.263 0.869 0.003
S1 0.099 0.648 0.098
S2 0.108 0.154 0.111
S3 0.191 0.282 0.636
S4 0.193 0.787 0.632
S5 0.314 0.479 0.371
S6 0.317 0.955 0.366
S7 0.386 0.103 0.898
S8 0.411 0.594 0.895

Summary:
Crystal system ... triclinic
V ... 561 Å³/cell

--- B ---
A plane-wave DFT calculation with PBE-GGA was carried out for TaCr3Cu2S8 after structural relaxation.

abc: 5.867 6.988 5.948
angles: 90.00 93.30 90.00
Space group P2/m (No. 10)
Symmetry-distinct sites (fractional):
Ta1 0.000 0.000 0.000
Cr1 0.000 0.251 0.500
Cr2 0.000 0.500 0.000
Cu1 0.500 0.000 0.000
Cu2 0.500 0.500 0.000
S1 0.220 0.500 0.678
S2 0.237 0.000 0.672
S3 0.243 0.254 0.180

Summary:
Crystal system ... monoclinic
V ... 243 Å³/cell

--- C ---
A plane-wave DFT calculation with PBE-GGA was carried out for TaCr3Cu2S8 after structural relaxation.

abc: 6.489 7.121 12.444
angles: 90.00 98.75 90.00
Space group P2_1/m (No. 11)
Symmetry-distinct sites (fractional):
Ta1 0.007 0.250 0.178
Cr1 0.108 0.250 0.430
Cr2 0.379 0.750 0.929
Cr3 0.488 0.250 0.273
Cu1 0.244 0.250 0.896
Cu2 0.335 0.750 0.404
S1 0.129 0.750 0.026
S2 0.227 0.036 0.317
S3 0.234 0.750 0.571
S4 0.279 0.522 0.808
S5 0.289 0.250 0.080
S6 0.316 0.250 0.577

Summary:
Crystal system ... monoclinic
V ... 568 Å³/cell

--- D ---
A plane-wave DFT calculation with PBE-GGA was carried out for TaCr3Cu2S8 after structural relaxation.

abc: 7.1402 7.1402 16.8752
angles: 90.00 90.00 120.00
Space group R-3m (No. 166, hexagonal axes)
Symmetry-distinct sites (fractional):
Ta1 0.0000 0.0000 0.0000
Cr1 0.0000 0.5000 0.5000
Cu1 0.0000 0.0000 0.3742
S1 0.0000 0.0000 0.2404
S2 0.0140 0.5070 0.7537

Summary:
Crystal system ... trigonal
V ... 745 Å³/cell

Relative energy table, unit meV/atom: A 230; B 93; C 330; D 0

--- A ---
A plane-wave DFT calculation with PBE-GGA was carried out for TaCr3Cu2S8 after structural relaxation.

abc: 7.087 11.831 11.520
angles: 90.00 94.97 90.00
Space group P2_1 (No. 4)
Symmetry-distinct sites (fractional):
Ta1 0.160 0.000 0.118
Ta2 0.319 0.351 0.589
Cr1 0.056 0.629 0.663
Cr2 0.090 0.497 0.379
Cr3 0.153 0.131 0.850
Cr4 0.340 0.638 0.153
Cr5 0.419 0.867 0.876
Cr6 0.428 0.137 0.355
Cu1 0.058 0.358 0.064
Cu2 0.116 0.854 0.381
Cu3 0.340 0.006 0.645
Cu4 0.389 0.500 0.870
S1 0.056 0.304 0.459
S2 0.077 0.562 0.027
S3 0.090 0.448 0.761
S4 0.111 0.680 0.286
S5 0.122 0.944 0.775
S6 0.174 0.036 0.470
S7 0.178 0.188 0.211
S8 0.226 0.812 0.035
S9 0.290 0.555 0.540
S10 0.332 0.332 0.983
S11 0.345 0.687 0.782
S12 0.376 0.466 0.259
S13 0.380 0.199 0.725
S14 0.409 0.054 0.967
S15 0.411 0.951 0.274
S16 0.459 0.804 0.531

Summary:
Crystal system ... monoclinic
V ... 962 Å³/cell

--- B ---
A plane-wave DFT calculation with PBE-GGA was carried out for TaCr3Cu2S8 after structural relaxation.

abc: 6.026 6.969 12.813
angles: 92.22 101.84 90.09
Space group P1 (No. 1)
Symmetry-distinct sites (fractional):
Ta1 0.000 0.000 0.000
Ta2 0.025 0.246 0.503
Cr1 0.003 0.763 0.491
Cr2 0.011 0.520 0.002
Cr3 0.507 0.508 0.501
Cr4 0.508 0.012 0.500
Cr5 0.509 0.262 0.003
Cr6 0.514 0.773 0.000
Cu1 0.084 0.770 0.709
Cu2 0.238 0.679 0.226
Cu3 0.773 0.321 0.784
Cu4 0.911 0.258 0.286
S1 0.125 0.262 0.894
S2 0.137 0.754 0.887
S3 0.219 0.525 0.608
S4 0.232 0.012 0.617
S5 0.299 0.251 0.387
S6 0.300 0.752 0.397
S7 0.391 0.021 0.109
S8 0.395 0.531 0.103
S9 0.623 0.011 0.887
S10 0.631 0.505 0.900
S11 0.719 0.267 0.610
S12 0.720 0.769 0.601
S13 0.782 0.003 0.384
S14 0.790 0.504 0.392
S15 0.888 0.277 0.111
S16 0.893 0.773 0.118

Summary:
Crystal system ... triclinic
V ... 526 Å³/cell

Relative energy table, unit meV/atom: A 161; B 0

--- A ---
A plane-wave DFT calculation with PBE-GGA was carried out for TaCr3Cu2S8 after structural relaxation.

abc: 3.417 11.075 12.561
angles: 90.00 90.00 90.00
Space group Pmn2_1 (No. 31)
Symmetry-distinct sites (fractional):
Ta1 0.000 0.163 0.000
Cr1 0.000 0.196 0.540
Cr2 0.000 0.666 0.333
Cr3 0.000 0.686 0.806
Cu1 0.000 0.460 0.596
Cu2 0.000 0.956 0.769
S1 0.000 0.164 0.355
S2 0.000 0.300 0.710
S3 0.000 0.375 0.966
S4 0.000 0.453 0.259
S5 0.000 0.656 0.992
S6 0.000 0.804 0.637
S7 0.000 0.881 0.362
S8 0.000 0.947 0.079

Summary:
Crystal system ... orthorhombic
V ... 475 Å³/cell

--- B ---
A plane-wave DFT calculation with PBE-GGA was carried out for TaCr3Cu2S8 after structural relaxation.

abc: 6.272 7.250 12.380
angles: 98.15 94.96 90.00
Space group P1 (No. 1)
Symmetry-distinct sites (fractional):
Ta1 0.000 0.000 0.000
Ta2 0.357 0.588 0.298
Cr1 0.069 0.188 0.706
Cr2 0.460 0.769 0.997
Cr3 0.588 0.439 0.713
Cr4 0.593 0.939 0.707
Cr5 0.851 0.844 0.296
Cr6 0.854 0.329 0.291
Cu1 0.088 0.686 0.701
Cu2 0.339 0.085 0.298
Cu3 0.467 0.260 0.001
Cu4 0.957 0.511 0.997
S1 0.021 0.106 0.371
S2 0.029 0.602 0.374
S3 0.105 0.234 0.891
S4 0.121 0.733 0.891
S5 0.319 0.543 0.109
S6 0.325 0.035 0.111
S7 0.399 0.173 0.640
S8 0.419 0.670 0.640
S9 0.527 0.860 0.376
S10 0.532 0.348 0.370
S11 0.607 0.494 0.896
S12 0.619 0.984 0.895
S13 0.803 0.793 0.107
S14 0.822 0.280 0.107
S15 0.899 0.421 0.637
S16 0.905 0.922 0.632

Summary:
Crystal system ... triclinic
V ... 555 Å³/cell

Relative energy table, unit meV/atom: A 0; B 30

--- A ---
A plane-wave DFT calculation with PBE-GGA was carried out for TaCr3Cu2S8 after structural relaxation.

abc: 7.080 5.726 12.074
angles: 90.00 90.00 90.00
Space group Pmc2_1 (No. 26)
Symmetry-distinct sites (fractional):
Ta1 0.000 0.231 0.000
Cr1 0.253 0.253 0.250
Cr2 0.500 0.268 0.505
Cu1 0.000 0.140 0.658
Cu2 0.500 0.345 0.840
S1 0.000 0.011 0.337
S2 0.000 0.471 0.170
S3 0.243 0.483 0.420
S4 0.262 0.013 0.082
S5 0.500 0.046 0.337
S6 0.500 0.490 0.170

Summary:
Crystal system ... orthorhombic
V ... 489 Å³/cell

--- B ---
A plane-wave DFT calculation with PBE-GGA was carried out for TaCr3Cu2S8 after structural relaxation.

abc: 11.965 7.027 11.411
angles: 90.00 90.38 90.00
Space group Pc (No. 7)
Symmetry-distinct sites (fractional):
Ta1 0.000 0.090 0.000
Ta2 0.366 0.388 0.477
Cr1 0.222 0.149 0.244
Cr2 0.253 0.374 0.771
Cr3 0.495 0.106 0.711
Cr4 0.715 0.135 0.443
Cr5 0.739 0.380 0.927
Cr6 0.863 0.365 0.210
Cu1 0.359 0.134 0.966
Cu2 0.549 0.395 0.145
Cu3 0.851 0.122 0.706
Cu4 0.998 0.383 0.478
S1 0.035 0.159 0.620
S2 0.053 0.330 0.133
S3 0.167 0.112 0.880
S4 0.178 0.381 0.389
S5 0.306 0.141 0.636
S6 0.317 0.396 0.134
S7 0.399 0.122 0.341
S8 0.433 0.374 0.849
S9 0.530 0.110 0.069
S10 0.553 0.317 0.562
S11 0.672 0.120 0.807
S12 0.681 0.375 0.300
S13 0.802 0.140 0.062
S14 0.818 0.401 0.564
S15 0.894 0.110 0.351
S16 0.917 0.391 0.845

Summary:
Crystal system ... monoclinic
V ... 960 Å³/cell

Relative energy table, unit meV/atom: A 0; B 178